## a
# NaMnPCO7

A geometry-optimized NaMnPCO7 structure (PBE with a Hubbard U, Materials Project).

Calculated values
Total magnetic moment, μB/cell: 12.00

The structure in CIF format:
```
data_NaMnPCO7
_chemical_formula_sum 'Na4 Mn4 P4 C4 O28'
_space_group_name_H-M_alt 'P 1'
_space_group_IT_number 1
_cell_length_a 8.178
_cell_length_b 8.204
_cell_length_c 10.251
_cell_angle_alpha 108.94
_cell_angle_beta 106.65
_cell_angle_gamma 99.96
loop_
_space_group_symop_operation_xyz
'x,y,z'
loop_
_atom_site_label
_atom_site_type_symbol
_atom_site_fract_x
_atom_site_fract_y
_atom_site_fract_z
O1 O 0.651 0.210 0.663
O2 O 0.172 0.728 0.669
O3 O 0.981 0.927 0.675
O4 O 0.492 0.236 0.185
O5 O 0.836 0.075 0.477
O6 O 0.901 0.655 0.430
O7 O 0.006 0.271 0.819
O8 O 0.031 0.082 0.327
O9 O 0.941 0.697 0.938
O10 O 0.103 0.347 0.573
O11 O 0.843 0.279 0.334
O12 O 0.677 0.417 0.143
O13 O 0.513 0.763 0.819
O14 O 0.328 0.581 0.860
O15 O 0.339 0.771 0.330
O16 O 0.395 0.148 0.422
O17 O 0.552 0.807 0.057
O18 O 0.443 0.202 0.948
O19 O 0.339 0.573 0.477
O20 O 0.987 0.729 0.175
O21 O 0.822 0.088 0.861
O22 O 0.173 0.913 0.135
O23 O 0.051 0.310 0.056
O24 O 0.599 0.851 0.573
O25 O 0.463 0.406 0.669
O26 O 0.539 0.587 0.330
O27 O 0.665 0.414 0.520
O28 O 0.174 0.923 0.523
Mn1 Mn 0.812 0.063 0.657
Mn2 Mn 0.697 0.435 0.347
Mn3 Mn 0.312 0.562 0.657
Mn4 Mn 0.192 0.928 0.337
P1 P 0.544 0.293 0.564
P2 P 0.052 0.801 0.570
P3 P 0.455 0.700 0.432
P4 P 0.955 0.200 0.433
Na1 Na 0.257 0.261 0.767
Na2 Na 0.507 0.010 0.767
Na3 Na 0.733 0.755 0.239
Na4 Na 0.224 0.248 0.237
C1 C 0.027 0.773 0.071
C2 C 0.532 0.281 0.083
C3 C 0.470 0.723 0.923
C4 C 0.965 0.230 0.923
```


## b
# NaMnPCO7

A geometry-optimized NaMnPCO7 structure (PBE with a Hubbard U, Materials Project).

The structure in CIF format:
```
data_NaMnPCO7
_chemical_formula_sum 'Na4 Mn4 P4 C4 O28'
_space_group_name_H-M_alt 'P 1'
_space_group_IT_number 1
_cell_length_a 6.256
_cell_length_b 5.231
_cell_length_c 18.151
_cell_angle_alpha 88.00
_cell_angle_beta 90.00
_cell_angle_gamma 90.00
loop_
_space_group_symop_operation_xyz
'x,y,z'
loop_
_atom_site_label
_atom_site_type_symbol
_atom_site_fract_x
_atom_site_fract_y
_atom_site_fract_z
O1 O 0.263 0.873 0.537
O2 O 0.559 0.216 0.586
O3 O 0.444 0.785 0.918
O4 O 0.059 0.784 0.914
O5 O 0.944 0.215 0.582
O6 O 0.237 0.873 0.037
O7 O 0.762 0.699 0.722
O8 O 0.761 0.572 0.012
O9 O 0.253 0.048 0.679
O10 O 0.747 0.952 0.321
O11 O 0.556 0.215 0.082
O12 O 0.753 0.952 0.821
O13 O 0.239 0.428 0.988
O14 O 0.941 0.216 0.086
O15 O 0.763 0.127 0.963
O16 O 0.737 0.127 0.463
O17 O 0.261 0.428 0.488
O18 O 0.752 0.540 0.840
O19 O 0.238 0.301 0.278
O20 O 0.056 0.785 0.418
O21 O 0.262 0.301 0.778
O22 O 0.748 0.540 0.340
O23 O 0.739 0.572 0.512
O24 O 0.441 0.784 0.414
O25 O 0.252 0.460 0.660
O26 O 0.738 0.699 0.222
O27 O 0.247 0.048 0.179
O28 O 0.248 0.460 0.160
P1 P 0.749 0.281 0.533
P2 P 0.249 0.719 0.967
P3 P 0.751 0.281 0.033
P4 P 0.251 0.719 0.467
C1 C 0.257 0.271 0.711
C2 C 0.743 0.729 0.289
C3 C 0.757 0.729 0.789
C4 C 0.243 0.271 0.211
Mn1 Mn 0.747 0.783 0.921
Mn2 Mn 0.247 0.217 0.579
Mn3 Mn 0.253 0.217 0.079
Mn4 Mn 0.753 0.783 0.421
Na1 Na 0.530 0.757 0.631
Na2 Na 0.970 0.757 0.131
Na3 Na 0.470 0.243 0.369
Na4 Na 0.030 0.243 0.869
```


The calculated energies rank the structures as follows, beginning with the most stable: b, a.